DFT (PBE) results for a relaxed structure of Mg5Si9.

Cell: 6.5158 7.3976 12.1576 Å, 89.95 98.25 113.20°
Last column: nearest neighbours and their distance in Å.
Element x y z (fractional)
Mg1 0.5955 0.9749 0.6806  4 Si 2.71-2.97
Mg2 0.7187 0.0190 0.4207  4 Si 2.71-2.91
Mg3 0.1904 0.6499 0.5304  4 Si 2.66-2.91
Mg4 0.7325 0.4371 0.3441  5 Si 2.71-3.01
Mg5 0.7643 0.6885 0.5714  5 Si 2.70-3.00, 1 Mg 3.01
Mg6 0.3475 0.2302 0.4841  4 Si 2.64-2.90
Mg7 0.6924 0.1393 0.1335  7 Si 2.86-3.04, 1 Mg 3.11
Mg8 0.4891 0.1754 0.8755  4 Si 2.68-2.97
Mg9 0.9630 0.5287 0.0278  3 Si 2.64-2.92
Mg10 0.0319 0.2626 0.8566  4 Si 2.70-2.85
Si1 0.2375 0.2469 0.1646  4 Si 2.36-2.40
Si2 0.4002 0.6114 0.9283  4 Si 2.41-2.55
Si3 0.9931 0.8483 0.3677  2 Si 2.39-2.50
Si4 0.1369 0.2613 0.6483  3 Si 2.38-2.39, 1 Mg 2.64
Si5 0.1039 0.4543 0.2562  3 Si 2.38-2.46
Si6 0.0023 0.8029 0.8310  4 Si 2.39-2.46
Si7 0.3677 0.7678 0.1965  4 Si 2.39-2.56
Si8 0.7594 0.4652 0.7657  3 Si 2.42-2.48, 1 Mg 2.68
Si9 0.7393 0.7635 0.1949  4 Si 2.39-2.47
Si10 0.1698 0.9539 0.6744  2 Si 2.38-2.39
Si11 0.7265 0.9079 0.8978  3 Si 2.35-2.45
Si12 0.9715 0.9539 0.0668  4 Si 2.35-2.55
Si13 0.3484 0.0419 0.2923  3 Si 2.39-2.50
Si14 0.4363 0.5544 0.7342  3 Si 2.38-2.46
Si15 0.2834 0.8745 0.0011  4 Si 2.46-2.56, 2 Mg 2.64-2.70
Si16 0.5435 0.4550 0.0762  3 Si 2.39-2.47
Si17 0.8110 0.3320 0.5894  2 Si 2.39-2.48
Si18 0.4436 0.5993 0.3896  1 Si 2.40, 1 Mg 2.66

Energy of formation from the pure elements = 173.5 meV per atom
Total energy after the MP2020 corrections = -108.80 eV for the cell shown
E_tot = -3.93 eV per atom
ΔE to the lowest computed polymorph = 30 kJ/mol of formula units